[1]
Entry from the Materials Project: a geometry-optimized Li3P2WO9 structure (GGA+U).

abc: 5.086 15.986 8.767
angles: 90.00 101.96 90.00
Fractional positions:
Li (0.225, 0.115, 0.459)
Li (0.225, 0.385, 0.959)
Li (0.248, 0.127, 0.072)
Li (0.248, 0.373, 0.572)
Li (0.271, 0.681, 0.076)
Li (0.271, 0.819, 0.576)
Li (0.729, 0.181, 0.424)
Li (0.729, 0.319, 0.924)
Li (0.752, 0.627, 0.428)
Li (0.752, 0.873, 0.928)
Li (0.775, 0.615, 0.041)
Li (0.775, 0.885, 0.541)
P (0.182, 0.227, 0.758)
P (0.182, 0.273, 0.258)
P (0.222, 0.540, 0.310)
P (0.222, 0.960, 0.810)
P (0.778, 0.040, 0.190)
P (0.778, 0.460, 0.690)
P (0.818, 0.727, 0.742)
P (0.818, 0.773, 0.242)
W (0.294, 0.602, 0.690)
W (0.294, 0.898, 0.190)
W (0.706, 0.102, 0.810)
W (0.706, 0.398, 0.310)
O (0.061, 0.041, 0.829)
O (0.061, 0.459, 0.329)
O (0.085, 0.714, 0.674)
O (0.085, 0.786, 0.174)
O (0.117, 0.198, 0.591)
O (0.117, 0.302, 0.091)
O (0.135, 0.579, 0.152)
O (0.135, 0.921, 0.652)
O (0.184, 0.601, 0.443)
O (0.184, 0.899, 0.943)
O (0.292, 0.183, 0.279)
O (0.292, 0.317, 0.779)
O (0.400, 0.171, 0.870)
O (0.400, 0.329, 0.370)
O (0.416, 0.603, 0.896)
O (0.416, 0.897, 0.396)
O (0.471, 0.015, 0.158)
O (0.471, 0.485, 0.658)
O (0.529, 0.515, 0.342)
O (0.529, 0.985, 0.842)
O (0.584, 0.103, 0.604)
O (0.584, 0.397, 0.104)
O (0.600, 0.671, 0.630)
O (0.600, 0.829, 0.130)
O (0.708, 0.683, 0.221)
O (0.708, 0.817, 0.721)
O (0.816, 0.101, 0.057)
O (0.816, 0.399, 0.557)
O (0.865, 0.079, 0.348)
O (0.865, 0.421, 0.848)
O (0.883, 0.698, 0.909)
O (0.883, 0.802, 0.409)
O (0.915, 0.214, 0.826)
O (0.915, 0.286, 0.326)
O (0.939, 0.541, 0.671)
O (0.939, 0.959, 0.171)

Calculated values
The formation energy is -2569 meV per atom. For the total energy, the calculation gives -6.797 eV per atom. Its space group is P2_1/c (14). The calculation puts the size of the total moment at 1.00 μB/f.u.


[2]
Entry from the Materials Project: a geometry-optimized CaDyNi4O12 structure (GGA+U).

abc: 7.539 5.256 5.256
angles: 87.11 90.00 90.00
Fractional positions:
Ca (0.000, 0.000, 0.000)
Dy (0.500, 0.546, 0.546)
Ni (0.251, 0.030, 0.521)
Ni (0.251, 0.521, 0.030)
Ni (0.749, 0.030, 0.521)
Ni (0.749, 0.521, 0.030)
O (0.000, 0.061, 0.473)
O (0.000, 0.473, 0.061)
O (0.216, 0.727, 0.727)
O (0.249, 0.240, 0.808)
O (0.249, 0.808, 0.240)
O (0.301, 0.324, 0.324)
O (0.500, 0.554, 0.972)
O (0.500, 0.972, 0.554)
O (0.699, 0.324, 0.324)
O (0.751, 0.240, 0.808)
O (0.751, 0.808, 0.240)
O (0.784, 0.727, 0.727)

Calculated values
The formation energy is -1067 meV per atom. For the total energy, the calculation gives -4.995 eV per atom. Its space group is Amm2 (38). The calculation puts the size of the total moment at 10.24 μB/f.u.


[3]
Entry from the Materials Project: a geometry-optimized Ni5O6 structure (GGA+U).

abc: 5.098 5.098 5.202
angles: 100.90 100.90 118.18
Fractional positions:
Ni (0.000, 0.000, 0.000)
Ni (0.170, 0.830, 0.500)
Ni (0.339, 0.661, 0.000)
Ni (0.661, 0.339, 0.000)
Ni (0.830, 0.170, 0.500)
O (0.034, 0.403, 0.233)
O (0.256, 0.256, 0.785)
O (0.403, 0.034, 0.233)
O (0.597, 0.966, 0.767)
O (0.744, 0.744, 0.215)
O (0.966, 0.597, 0.767)

Calculated values
The formation energy is -1068 meV per atom. For the total energy, the calculation gives -4.865 eV per atom. Its space group is C2/m (12).


[4]
Entry from the Materials Project: a geometry-optimized Na3MnAsCO7 structure (GGA+U).

abc: 5.279 11.604 11.604
angles: 105.36 90.21 89.80
Fractional positions:
O (0.625, 0.659, 0.091)
O (0.827, 0.417, 0.833)
O (0.787, 0.876, 0.567)
O (0.787, 0.183, 0.874)
O (0.711, 0.334, 0.416)
O (0.043, 0.566, 0.684)
Na (0.246, 0.129, 0.875)
O (0.467, 0.554, 0.696)
Na (0.754, 0.125, 0.379)
Na (0.246, 0.629, 0.375)
O (0.173, 0.583, 0.167)
O (0.467, 0.054, 0.196)
O (0.289, 0.166, 0.084)
O (0.711, 0.834, 0.916)
O (0.827, 0.917, 0.333)
O (0.375, 0.841, 0.409)
Na (0.754, 0.371, 0.625)
As (0.299, 0.169, 0.581)
Mn (0.222, 0.449, 0.801)
Na (0.246, 0.375, 0.121)
Na (0.754, 0.871, 0.125)
O (0.957, 0.934, 0.816)
Mn (0.778, 0.051, 0.699)
Na (0.241, 0.835, 0.915)
Na (0.246, 0.875, 0.621)
As (0.701, 0.831, 0.419)
O (0.787, 0.683, 0.374)
O (0.213, 0.124, 0.433)
Na (0.759, 0.665, 0.585)
O (0.043, 0.066, 0.184)
O (0.957, 0.434, 0.316)
O (0.375, 0.341, 0.909)
Na (0.759, 0.165, 0.085)
C (0.266, 0.596, 0.654)
O (0.787, 0.376, 0.067)
Na (0.754, 0.625, 0.879)
O (0.289, 0.666, 0.584)
O (0.173, 0.083, 0.667)
O (0.213, 0.817, 0.126)
O (0.213, 0.317, 0.626)
C (0.734, 0.404, 0.346)
As (0.299, 0.669, 0.081)
C (0.734, 0.904, 0.846)
Mn (0.778, 0.551, 0.199)
Na (0.241, 0.335, 0.415)
O (0.625, 0.159, 0.591)
O (0.533, 0.446, 0.304)
Mn (0.222, 0.949, 0.301)
As (0.701, 0.331, 0.919)
C (0.266, 0.096, 0.154)
O (0.533, 0.946, 0.804)
O (0.213, 0.624, 0.933)

Calculated values
The formation energy is -2065 meV per atom. For the total energy, the calculation gives -6.310 eV per atom. The calculation puts the size of the total moment at 0.00 μB/f.u.